# 1
The following is a GGA+U calculation of an optimized crystal structure of Ca3Fe2Mo2O12, from Materials Project.

Results
Its space-group type is P1 (1). The value obtained for the formation enthalpy at 0 K is -2398 meV/atom. The total DFT energy (no corrections) comes out at -6.865 eV per atom.

a b c (Å): 5.4188 5.5350 7.7628
angles (deg): 89.98 89.88 89.75
With the nearest neighbours (Å) after each atom.
Element x y z (fractional)
Ca (0.0066, 0.0436, 0.2494)  8 O 2.36-2.61
O (0.8002, 0.1962, 0.9665)  1 Mo 1.92, 1 Fe 2.03
O (0.2793, 0.2927, 0.4457)  1 Mo 1.98, 1 Fe 1.99
Fe (0.4940, 0.0106, 0.4989)  6 O 1.99-2.09
Fe (0.9983, 0.5033, 0.0034)  6 O 2.00-2.06
O (0.2054, 0.7840, 0.4588)  1 Mo 2.01, 1 Fe 2.03
Ca (0.9907, 0.9520, 0.7510)  6 O 2.35-2.60
Mo (0.5033, 0.0100, 0.9904)  6 O 1.88-2.03
Ca (0.4862, 0.5523, 0.2519)  6 O 2.34-2.61
O (0.7239, 0.7103, 0.5340)  1 Mo 1.88, 1 Fe 2.09
O (0.9124, 0.4819, 0.2538)  1 Fe 2.00, 1 Mo 2.05
O (0.2109, 0.7993, 0.0388)  1 Mo 2.01, 1 Fe 2.03
O (0.8102, 0.1997, 0.5339)  1 Mo 1.93, 1 Fe 2.03
O (0.5759, 0.9784, 0.2462)  1 Fe 2.02, 1 Mo 2.03
Mo (0.9936, 0.4964, 0.5117)  6 O 1.86-2.05
O (0.0694, 0.5133, 0.7452)  1 Mo 1.86, 1 Fe 2.04
O (0.4178, 0.0240, 0.7558)  1 Mo 1.88, 1 Fe 2.04
O (0.2976, 0.2827, 0.0540)  1 Mo 1.94, 1 Fe 2.06
O (0.7084, 0.7277, 0.9632)  1 Mo 1.92, 1 Fe 2.02

***

# 2
The following is a GGA+U calculation of an optimized crystal structure of Ca3Fe4Mo6O24, from Materials Project.

Results
Its space-group type is P-1 (2). The value obtained for the formation enthalpy at 0 K is -2156 meV/atom. The total DFT energy (no corrections) comes out at -6.994 eV per atom.

a b c (Å): 7.2493 8.7370 10.6090
angles (deg): 105.35 106.34 104.24
With the nearest neighbours (Å) after each atom.
Element x y z (fractional)
Mo (0.8849, 0.9037, 0.6700)  4 O 1.77-1.81
O (0.6700, 0.9584, 0.5836)  1 Mo 1.81
O (0.7939, 0.2832, 0.5492)  1 Mo 1.89, 1 Fe 2.09
Mo (0.6079, 0.2537, 0.1324)  4 O 1.77-1.83
Ca (0.2928, 0.3011, 0.7959)  5 O 2.24-2.35
Fe (0.0433, 0.2065, 0.0133)  5 O 2.06-2.26
Mo (0.2120, 0.6604, 0.2672)  4 O 1.81-1.90
O (0.9203, 0.9403, 0.8530)  1 Mo 1.81
O (0.0060, 0.7265, 0.1635)  1 Mo 1.90, 1 Fe 2.07
O (0.4783, 0.7813, 0.2837)  1 Mo 1.89, 1 Fe 2.09
Fe (0.3728, 0.9606, 0.5997)  6 O 2.09-2.23
O (0.8848, 0.9802, 0.3470)  1 Mo 1.81
O (0.2061, 0.7168, 0.4508)  1 Mo 1.89, 1 Fe 2.09
Mo (0.7880, 0.3396, 0.7328)  4 O 1.81-1.90
O (0.2449, 0.8129, 0.9638)  1 Mo 1.77
Ca (0.7072, 0.6989, 0.2041)  5 O 2.24-2.35
O (0.6265, 0.7437, 0.9889)  1 Mo 1.83
O (0.3735, 0.2563, 0.0111)  1 Mo 1.83
O (0.9940, 0.2735, 0.8365)  1 Mo 1.90, 1 Fe 2.07
O (0.8263, 0.5544, 0.8353)  1 Mo 1.81
Fe (0.9567, 0.7935, 0.9867)  5 O 2.06-2.26
Mo (0.3921, 0.7463, 0.8676)  4 O 1.77-1.83
O (0.0797, 0.0597, 0.1470)  1 Mo 1.81
Ca (0.0000, 0.5000, 0.5000)  6 O 2.35-2.54
Fe (0.6272, 0.0394, 0.4003)  6 O 2.09-2.23
O (0.3300, 0.0416, 0.4164)  1 Mo 1.81
O (0.8418, 0.6885, 0.5819)  1 Mo 1.77
O (0.4353, 0.8746, 0.7675)  1 Mo 1.77
O (0.2409, 0.5330, 0.7394)  1 Mo 1.83
Mo (0.1151, 0.0963, 0.3300)  4 O 1.77-1.81
O (0.5647, 0.1254, 0.2325)  1 Mo 1.77
O (0.7591, 0.4670, 0.2606)  1 Mo 1.83
O (0.7551, 0.1871, 0.0362)  1 Mo 1.77
O (0.1152, 0.0198, 0.6530)  1 Mo 1.81
O (0.5217, 0.2187, 0.7163)  1 Mo 1.89, 1 Fe 2.09
O (0.1737, 0.4456, 0.1647)  1 Mo 1.81
O (0.1582, 0.3115, 0.4181)  1 Mo 1.77

***

# 3
The following is a GGA+U calculation of an optimized crystal structure of Na5Ca2Fe3P6O24, from Materials Project.

Results
Its space-group type is P1 (1). The value obtained for the formation enthalpy at 0 K is -2649 meV/atom. The total DFT energy (no corrections) comes out at -6.749 eV per atom.

a b c (Å): 6.5744 8.8417 9.0622
angles (deg): 91.25 107.32 106.56
With the nearest neighbours (Å) after each atom.
Element x y z (fractional)
O (0.4001, 0.3272, 0.0168)  1 P 1.58
O (0.6798, 0.4535, 0.2864)  1 P 1.52
P (0.8691, 0.8682, 0.6610)  4 O 1.53-1.58
O (0.0885, 0.0079, 0.6990)  1 P 1.55
Fe (0.6401, 0.0624, 0.3859)  6 O 2.04-2.11
P (0.2500, 0.7173, 0.2585)  4 O 1.52-1.57
O (0.7302, 0.4503, 0.7421)  1 P 1.57
O (0.9161, 0.0248, 0.3520)  1 P 1.56
P (0.7512, 0.2790, 0.7249)  4 O 1.54-1.57
O (0.3271, 0.0687, 0.3908)  1 P 1.56
O (0.6201, 0.1684, 0.1816)  1 P 1.57
O (0.1679, 0.5772, 0.9379)  1 P 1.58
Fe (0.1416, 0.3814, 0.0651)  6 O 1.95-2.17
O (0.5434, 0.1615, 0.7485)  1 P 1.54
Fe (0.8496, 0.6154, 0.9289)  5 O 1.99-2.19
O (0.0502, 0.7454, 0.1285)  1 P 1.57
O (0.7794, 0.2533, 0.5619)  1 P 1.56
O (0.4656, 0.8484, 0.2552)  1 P 1.56
Ca (0.2543, 0.2767, 0.7310)  6 O 2.29-2.46
O (0.8196, 0.4034, 0.0603)  1 P 1.59
P (0.3667, 0.6527, 0.8719)  4 O 1.54-1.58
O (0.9637, 0.2591, 0.8485)  1 P 1.57
O (0.2877, 0.5527, 0.2358)  1 P 1.56
P (0.1367, 0.1484, 0.3458)  4 O 1.54-1.57
P (0.6332, 0.3423, 0.1422)  4 O 1.52-1.59
O (0.0982, 0.1859, 0.1727)  1 P 1.57
Na (0.2532, 0.9734, 0.0207)  5 O 2.41-2.67
O (0.1993, 0.7201, 0.4115)  1 P 1.52
O (0.8708, 0.7298, 0.5573)  1 P 1.53
Na (0.7433, 0.0215, 0.9815)  4 O 2.38-2.67
O (0.6689, 0.9312, 0.5793)  1 P 1.56
Na (0.9928, 0.5024, 0.4979)  5 O 2.28-2.47
Ca (0.3236, 0.9065, 0.6128)  5 O 2.22-2.38
O (0.3146, 0.5565, 0.7141)  1 P 1.54
Na (0.7642, 0.7313, 0.2716)  6 O 2.37-2.56
O (0.1969, 0.2972, 0.4602)  1 P 1.54
O (0.8506, 0.8142, 0.8227)  1 P 1.58
O (0.3874, 0.8296, 0.8613)  1 P 1.54
Na (0.5133, 0.5139, 0.4897)  5 O 2.33-2.52
O (0.5911, 0.6408, 0.9863)  1 P 1.56

***

# 4
The following is a GGA+U calculation of an optimized crystal structure of Na2CaFe2P3O12, from Materials Project.

Results
Its space-group type is C2/c (15). The value obtained for the formation enthalpy at 0 K is -2619 meV/atom. The total DFT energy (no corrections) comes out at -6.841 eV per atom.

a b c (Å): 8.8890 8.8890 6.6146
angles (deg): 73.06 73.06 91.97
With the nearest neighbours (Å) after each atom.
Element x y z (fractional)
P (0.2814, 0.7186, 0.7500)  4 O 1.55-1.56
O (0.3983, 0.0548, 0.6881)  1 P 1.58
O (0.1760, 0.1690, 0.3924)  1 P 1.56
O (0.8412, 0.2607, 0.0398)  1 P 1.56
Ca (0.2687, 0.7313, 0.2500)  6 O 2.34-2.38
O (0.4589, 0.2826, 0.8203)  1 P 1.53
O (0.3327, 0.0110, 0.1025)  1 P 1.57
O (0.9452, 0.6017, 0.8119)  1 P 1.58
P (0.6594, 0.8644, 0.1245)  4 O 1.53-1.58
O (0.1588, 0.7393, 0.9602)  1 P 1.56
O (0.6017, 0.9452, 0.3119)  1 P 1.58
Na (0.5000, 0.5000, 0.0000)  6 O 2.34-2.61
O (0.4488, 0.7408, 0.7716)  1 P 1.55
P (0.3406, 0.1356, 0.8755)  4 O 1.53-1.58
O (0.2592, 0.5512, 0.7284)  1 P 1.55
O (0.8240, 0.8310, 0.6076)  1 P 1.56
Fe (0.3883, 0.0642, 0.3672)  6 O 2.02-2.19
O (0.7174, 0.5411, 0.6797)  1 P 1.53
Na (0.0245, 0.9755, 0.7500)  6 O 2.45-2.69
O (0.2826, 0.4589, 0.3203)  1 P 1.53
Ca (0.7313, 0.2687, 0.7500)  6 O 2.34-2.38
O (0.0110, 0.3327, 0.6025)  1 P 1.57
O (0.7393, 0.1588, 0.4602)  1 P 1.56
Fe (0.9358, 0.6117, 0.1328)  6 O 2.02-2.19
O (0.6673, 0.9890, 0.8975)  1 P 1.57
O (0.5512, 0.2592, 0.2284)  1 P 1.55
Fe (0.0642, 0.3883, 0.8672)  6 O 2.02-2.19
Na (0.9755, 0.0245, 0.2500)  6 O 2.45-2.69
O (0.1690, 0.1760, 0.8924)  1 P 1.56
O (0.5411, 0.7174, 0.1797)  1 P 1.53
P (0.1356, 0.3406, 0.3755)  4 O 1.53-1.58
Fe (0.6117, 0.9358, 0.6328)  6 O 2.02-2.19
P (0.8644, 0.6594, 0.6245)  4 O 1.53-1.58
O (0.2607, 0.8412, 0.5397)  1 P 1.56
P (0.7186, 0.2814, 0.2500)  4 O 1.55-1.56
O (0.0548, 0.3983, 0.1881)  1 P 1.58
O (0.7408, 0.4488, 0.2716)  1 P 1.55
O (0.9890, 0.6673, 0.3975)  1 P 1.57
O (0.8310, 0.8240, 0.1076)  1 P 1.56
Na (0.5000, 0.5000, 0.5000)  6 O 2.34-2.61